No. 1
Computed, not measured: an optimized crystal structure of La11Ni4Ge6 at the PBE level of DFT.

## Properties
For the formation energy, the calculation gives -14.31 eV per formula unit. For the distance to the lowest polymorph of the same formula, the calculation gives 0.0 meV/atom. The space group is No. 1.

POSCAR file:
```
La11Ni4Ge6
1.0
4.4167 0.0003 -0.0005
-2.2077 8.9444 -2.6240
-0.0015 -0.0312 14.2834
La Ge Ni
11 6 4
Direct
0.3368 0.6778 0.4076
0.0005 0.9995 0.5006
0.9058 0.8104 0.2160
0.5482 0.0970 0.1259
0.4528 0.9030 0.8750
0.2147 0.4316 0.1002
0.8589 0.7122 0.6493
0.0939 0.1881 0.7856
0.6621 0.3224 0.5929
0.1440 0.2878 0.3521
0.7846 0.5687 0.9003
0.7364 0.4763 0.2665
0.3726 0.7441 0.0488
0.4865 0.9715 0.6507
0.2623 0.5221 0.7342
0.6278 0.2559 0.9525
0.5154 0.0281 0.3506
0.2482 0.4961 0.5508
0.9400 0.8783 0.0246
0.0604 0.1193 0.9766
0.7505 0.5069 0.4507
```

---

No. 2
Computed, not measured: an optimized crystal structure of BaMg14Si at the PBE level of DFT.

## Properties
For the formation energy, the calculation gives 0.95 eV per formula unit. For the distance to the lowest polymorph of the same formula, the calculation gives 0.0 meV/atom. The space group is No. 38. The total magnetization comes out at 0.0 μB/f.u.

POSCAR file:
```
BaMg14Si
1.0
-0.8593 4.2563 5.0259
3.6129 -5.2544 0.9353
8.4607 5.2792 -3.0243
Mg Ba Si
14 1 1
Direct
0.6333 0.8054 0.1250
0.3399 0.1794 0.8638
0.3399 0.1794 0.3862
0.3399 0.6605 0.3862
0.8243 0.6621 0.8562
0.8512 0.1756 0.3529
0.1585 0.3292 0.6250
0.1675 0.8337 0.6250
0.8512 0.1756 0.8971
0.6671 0.3264 0.6250
0.8243 0.6621 0.3938
0.6333 0.3280 0.1250
0.6671 0.8407 0.6250
0.3399 0.6605 0.8638
0.1432 0.8216 0.1250
0.2194 0.3597 0.1250
```

---

No. 3
Computed, not measured: an optimized crystal structure of FeCu6GeS8 at the PBE level of DFT.

## Properties
For the formation energy, the calculation gives -8.89 eV per formula unit. The space group is No. 216. The total magnetization comes out at 2.3 μB/f.u.

POSCAR file:
```
FeCu6GeS8
1.0
0.0000 5.2416 5.2416
5.2416 0.0000 5.2416
5.2416 5.2416 0.0000
Cu S Fe Ge
6 8 1 1
Direct
0.5049 0.9951 0.5049
0.9951 0.5049 0.5049
0.5049 0.5049 0.9951
0.9951 0.5049 0.9951
0.9951 0.9951 0.5049
0.5049 0.9951 0.9951
0.3752 0.3752 0.8745
0.8786 0.8786 0.3641
0.3752 0.8745 0.3752
0.3752 0.3752 0.3752
0.8786 0.3641 0.8786
0.8786 0.8786 0.8786
0.3641 0.8786 0.8786
0.8745 0.3752 0.3752
0.0000 0.0000 0.0000
0.5000 0.5000 0.5000
```

---

No. 4
Computed, not measured: an optimized crystal structure of Mg3Zr at the PBE level of DFT.

## Properties
For the formation energy, the calculation gives 0.14 eV per formula unit. The space group is No. 221.

POSCAR file:
```
Mg3Zr
1.0
4.4603 0.0000 0.0000
0.0000 4.4603 0.0000
0.0000 0.0000 4.4603
Mg Zr
3 1
Direct
0.0000 0.5000 0.5000
0.5000 0.5000 0.0000
0.5000 0.0000 0.5000
0.0000 0.0000 0.0000
```

---

- Number 1 is which compound?
  La11Ni4Ge6